# 1
# GGA-PBE HgH6C4N4O2, optimized geometry
data_HgH6C4N4O2
_symmetry_space_group_name_H-M 'P 1 21/c 1'
_symmetry_Int_Tables_number 14
_cell_length_a 5.309
_cell_length_b 11.027
_cell_length_c 7.963
_cell_angle_alpha 90.00
_cell_angle_beta 120.12
_cell_angle_gamma 90.00
loop_
_symmetry_equiv_pos_as_xyz
'x,y,z'
'-x,-y,-z'
'-x,y+1/2,-z+1/2'
'x,-y+1/2,z+1/2'
loop_
_atom_site_label
_atom_site_fract_x
_atom_site_fract_y
_atom_site_fract_z
Hg1 0.000 0.000 0.000
H1 0.143 0.050 0.675
H2 0.262 0.614 0.053
H3 0.417 0.236 0.446
C1 0.225 0.197 0.317
C2 0.421 0.561 0.178
N1 0.294 0.100 0.241
N2 0.362 0.032 0.750
O1 0.024 0.738 0.250
# formation enthalpy at 0 K	-258	meV per atom
# magnetic moment	0.0	Bohr magnetons per cell



# 2
# GGA-PBE TmNi4B, optimized geometry
data_TmNi4B
_symmetry_space_group_name_H-M 'P 6/m m m'
_symmetry_Int_Tables_number 191
_symmetry_space_group_name_Hall '-P 6 2'
_cell_length_a 4.9300
_cell_length_b 4.9300
_cell_length_c 6.9400
_cell_angle_alpha 90.00
_cell_angle_beta 90.00
_cell_angle_gamma 120.00
loop_
_atom_site_label
_atom_site_fract_x
_atom_site_fract_y
_atom_site_fract_z
Tm1 0.0000 0.0000 0.0000
Tm2 0.0000 0.0000 0.5000
Ni1 0.0000 0.5000 0.2085
Ni2 0.3333 0.6667 0.5000
B1 0.3333 0.6667 0.0000
# formation enthalpy at 0 K	-513	meV per atom



# 3
# GGA-PBE BaMg14ZnO16, optimized geometry
data_BaMg14ZnO16
_symmetry_space_group_name_H-M 'P m m m'
_symmetry_Int_Tables_number 47
_cell_length_a 4.522
_cell_length_b 8.668
_cell_length_c 8.788
_cell_angle_alpha 90.00
_cell_angle_beta 90.00
_cell_angle_gamma 90.00
loop_
_symmetry_equiv_pos_as_xyz
'x,y,z'
'-x,-y,-z'
'-x,-y,z'
'x,y,-z'
'x,-y,-z'
'-x,y,z'
'-x,y,-z'
'x,-y,z'
loop_
_atom_site_label
_atom_site_fract_x
_atom_site_fract_y
_atom_site_fract_z
Ba1 0.000 0.000 0.000
Mg1 0.000 0.000 0.500
Mg2 0.000 0.259 0.261
Mg3 0.000 0.500 0.500
Mg4 0.500 0.000 0.265
Mg5 0.500 0.253 0.500
Mg6 0.500 0.265 0.000
Mg7 0.500 0.500 0.252
Zn1 0.000 0.500 0.000
O1 0.000 0.000 0.281
O2 0.000 0.255 0.500
O3 0.000 0.281 0.000
O4 0.000 0.500 0.265
O5 0.500 0.000 0.000
O6 0.500 0.000 0.500
O7 0.500 0.250 0.250
O8 0.500 0.500 0.000
O9 0.500 0.500 0.500
# formation enthalpy at 0 K	-2777	meV per atom
# magnetic moment	0.0	Bohr magnetons per cell



# 4
# GGA-PBE Na8NbGa3Si5SO24, optimized geometry
data_Na8NbGa3Si5SO24
_symmetry_space_group_name_H-M 'P 1'
_symmetry_Int_Tables_number 1
_cell_length_a 9.019
_cell_length_b 9.028
_cell_length_c 22.056
_cell_angle_alpha 89.69
_cell_angle_beta 89.70
_cell_angle_gamma 60.05
loop_
_symmetry_equiv_pos_as_xyz
'x,y,z'
loop_
_atom_site_label
_atom_site_fract_x
_atom_site_fract_y
_atom_site_fract_z
Na1 0.000 0.000 0.000
Na2 0.000 0.366 0.501
Na3 0.259 0.363 0.002
Na4 0.259 0.743 0.501
Na5 0.286 0.672 0.833
Na6 0.290 0.036 0.576
Na7 0.291 0.401 0.335
Na8 0.293 0.042 0.082
Na9 0.322 0.347 0.663
Na10 0.328 0.697 0.171
Na11 0.583 0.079 0.169
Na12 0.598 0.688 0.665
Na13 0.621 0.370 0.252
Na14 0.623 0.742 0.000
Na15 0.625 0.999 0.498
Na16 0.626 0.376 0.748
Na17 0.661 0.675 0.337
Na18 0.664 0.027 0.836
Na19 0.930 0.407 0.833
Na20 0.934 0.030 0.337
Na21 0.957 0.072 0.660
Na22 0.960 0.701 0.918
Na23 0.961 0.703 0.420
Na24 0.968 0.333 0.168
Nb1 0.284 0.037 0.733
Nb2 0.627 0.369 0.900
Nb3 0.628 0.369 0.399
Ga1 0.292 0.053 0.244
Ga2 0.295 0.034 0.937
Ga3 0.295 0.035 0.436
Ga4 0.610 0.372 0.094
Ga5 0.626 0.383 0.597
Ga6 0.972 0.685 0.060
Ga7 0.974 0.684 0.772
Ga8 0.979 0.690 0.277
Ga9 0.980 0.689 0.561
Si1 0.001 0.030 0.838
Si2 0.006 0.325 0.335
Si3 0.251 0.696 0.667
Si4 0.254 0.409 0.168
Si5 0.293 0.325 0.837
Si6 0.293 0.754 0.333
Si7 0.332 0.668 0.004
Si8 0.338 0.364 0.505
Si9 0.589 0.747 0.836
Si10 0.590 0.029 0.334
Si11 0.627 0.669 0.503
Si12 0.629 0.069 0.004
Si13 0.919 0.366 0.006
Si14 0.921 0.074 0.505
Si15 0.955 0.418 0.667
S1 0.670 0.702 0.168
S2 0.672 0.991 0.669
S3 0.961 0.993 0.167
O1 0.001 0.498 0.609
O2 0.075 0.207 0.273
O3 0.090 0.071 0.777
O4 0.106 0.198 0.998
O5 0.107 0.060 0.497
O6 0.118 0.007 0.171
O7 0.124 0.748 0.609
O8 0.125 0.729 0.329
O9 0.125 0.994 0.895
O10 0.126 0.515 0.831
O11 0.128 0.243 0.393
O12 0.129 0.496 0.108
O13 0.135 0.223 0.674
O14 0.146 0.679 0.006
O15 0.153 0.541 0.504
O16 0.166 0.535 0.227
O17 0.166 0.670 0.729
O18 0.257 0.239 0.895
O19 0.257 0.869 0.393
O20 0.272 0.215 0.173
O21 0.275 0.871 0.674
O22 0.317 0.853 0.996
O23 0.320 0.195 0.497
O24 0.330 0.201 0.776
O25 0.333 0.833 0.272
O26 0.427 0.535 0.944
O27 0.431 0.399 0.444
O28 0.443 0.527 0.663
O29 0.448 0.391 0.162
O30 0.455 0.853 0.496
O31 0.456 0.585 0.062
O32 0.458 0.056 0.996
O33 0.461 0.329 0.563
O34 0.461 0.836 0.776
O35 0.465 0.558 0.339
O36 0.468 0.341 0.840
O37 0.471 0.077 0.273
O38 0.495 0.010 0.674
O39 0.496 0.854 0.171
O40 0.503 0.866 0.895
O41 0.508 0.992 0.393
O42 0.585 0.587 0.562
O43 0.589 0.193 0.062
O44 0.603 0.557 0.840
O45 0.608 0.204 0.340
O46 0.649 0.166 0.665
O47 0.657 0.544 0.164
O48 0.662 0.537 0.444
O49 0.665 0.164 0.944
O50 0.746 0.886 0.615
O51 0.750 0.732 0.112
O52 0.775 0.913 0.724
O53 0.776 0.677 0.222
O54 0.777 0.726 0.828
O55 0.782 0.862 0.324
O56 0.792 0.384 0.664
O57 0.793 0.400 0.945
O58 0.795 0.170 0.445
O59 0.802 0.680 0.508
O60 0.805 0.883 0.010
O61 0.807 0.167 0.164
O62 0.812 0.346 0.340
O63 0.814 0.208 0.840
O64 0.827 0.333 0.064
O65 0.832 0.199 0.564
O66 0.921 0.532 0.728
O67 0.928 0.543 0.006
O68 0.930 0.889 0.507
O69 0.931 0.914 0.222
O70 0.976 0.867 0.827
O71 0.978 0.518 0.328
O72 0.985 0.887 0.113
# formation enthalpy at 0 K	-2599	meV per atom
# magnetic moment	0.0	Bohr magnetons per cell